Record 1
OsN2: relaxed, PBE.

Unit cell a=2.8242 b=2.8242 c=4.9643 alpha=90.00 beta=90.00 gamma=120.00
With the nearest neighbours (Å) after each atom.
Space group P6/mmm (No. 191)
Symmetry-distinct sites (fractional):
Os 0.0000 0.0000 0.0000 [1 per cell]  2 N 1.90
N 0.0000 0.0000 0.3836 [2 per cell]  1 N 1.16

Properties
Total energy   -8.998 eV per atom
Energy of formation   61 meV per atom
Calculated volume   11.43 A^3/atom

***

Record 2
Li14Nd5Si11N19O7F2: relaxed, PBE.

Unit cell a=7.7082 b=10.0814 c=17.2013 alpha=90.00 beta=90.00 gamma=90.00
With the nearest neighbours (Å) after each atom.
Space group Pmn2_1 (No. 31)
Symmetry-distinct sites (fractional):
Li 0.0000 0.0277 0.0334 [2 per cell]  2 O 1.93-1.96
Li 0.0000 0.0283 0.2353 [2 per cell]  2 O 1.93-1.96
Li 0.0000 0.2503 0.8199 [2 per cell]  1 F 2.02, 2 N 2.03-2.13
Li 0.0000 0.2556 0.4506 [2 per cell]  1 O 1.99, 2 N 2.04-2.19
Li 0.0000 0.9556 0.8720 [2 per cell]  1 N 2.07
Li 0.0000 0.9576 0.3969 [2 per cell]  1 N 2.05
Li 0.1524 0.4874 0.5556 [4 per cell]  2 O 2.00-2.02, 1 F 2.10
Li 0.1616 0.4902 0.7119 [4 per cell]  1 O 1.99, 2 F 1.99-2.09, 1 N 2.20
Li 0.2471 0.1240 0.5000 [4 per cell]  1 O 2.06, 3 N 2.07-2.11
Li 0.2481 0.1234 0.7683 [4 per cell]  1 O 2.05, 3 N 2.06-2.11
Nd 0.0000 0.6824 0.1343 [2 per cell]  4 O 2.36-2.50, 1 N 2.51
Nd 0.2388 0.4976 0.3892 [4 per cell]  1 O 2.28
Nd 0.2414 0.2277 0.1344 [4 per cell]  2 O 2.20-2.42
Si 0.0000 0.2413 0.6346 [2 per cell]  2 O 1.71, 2 N 1.73
Si 0.0000 0.4179 0.0329 [2 per cell]  4 N 1.72-1.75
Si 0.0000 0.4179 0.2362 [2 per cell]  4 N 1.72-1.76
Si 0.0000 0.7287 0.3169 [2 per cell]  1 O 1.70, 3 N 1.71
Si 0.0000 0.7289 0.9515 [2 per cell]  1 O 1.70, 3 N 1.70-1.72
Si 0.0000 0.9784 0.5421 [2 per cell]  3 N 1.71, 1 O 1.74
Si 0.0000 0.9783 0.7266 [2 per cell]  3 N 1.71, 1 O 1.74
Si 0.2053 0.1972 0.3203 [4 per cell]  4 N 1.73-1.78
Si 0.2053 0.1971 0.9483 [4 per cell]  4 N 1.73-1.78
N 0.0000 0.1395 0.3431 [2 per cell]  2 Si 1.73
N 0.0000 0.1393 0.9252 [2 per cell]  2 Si 1.73
N 0.0000 0.1470 0.5507 [2 per cell]  2 Si 1.71-1.73
N 0.0000 0.1472 0.7186 [2 per cell]  2 Si 1.71-1.73
N 0.0000 0.4337 0.1345 [2 per cell]  2 Si 1.75-1.76
N 0.0000 0.5712 0.9890 [2 per cell]  2 Si 1.72
N 0.0000 0.5718 0.2790 [2 per cell]  2 Si 1.71-1.72
N 0.1894 0.9240 0.5017 [4 per cell]  2 Si 1.71-1.73
N 0.1897 0.9237 0.7665 [4 per cell]  2 Si 1.71-1.73
N 0.1918 0.3425 0.0064 [4 per cell]  2 Si 1.72-1.78
N 0.1922 0.7558 0.9053 [4 per cell]  2 Si 1.70-1.73
N 0.1927 0.3434 0.2628 [4 per cell]  2 Si 1.73-1.78
N 0.1937 0.7541 0.3631 [4 per cell]  2 Si 1.71-1.73
O 0.0000 0.1113 0.1343 [2 per cell]  2 Li 1.93
O 0.0000 0.4517 0.4625 [2 per cell]  3 Li 1.99-2.02
O 0.0000 0.8335 0.0292 [2 per cell]  1 Si 1.70
O 0.0000 0.8340 0.2397 [2 per cell]  1 Si 1.70
O 0.0000 0.9085 0.6343 [2 per cell]  2 Si 1.74
O 0.1769 0.3435 0.6349 [4 per cell]  1 Si 1.71
F 0.0000 0.4476 0.7989 [2 per cell]  3 Li 1.99-2.02
F 0.0000 0.5936 0.6355 [2 per cell]  4 Li 2.09-2.10

Properties
Total energy   -6.930 eV per atom
Energy of formation   -1734 meV per atom
Calculated volume   11.52 A^3/atom

***

Record 3
MgTe2Mo2W2Se4S2: relaxed, PBE.

Unit cell a=5.7840 b=3.3396 c=44.7616 alpha=90.00 beta=90.04 gamma=90.00
With the nearest neighbours (Å) after each atom.
Space group Cm (No. 8)
Symmetry-distinct sites (fractional):
Mg 0.0000 0.0000 0.0000 [2 per cell]  3 Se 3.32-3.33, 6 Mg 3.34, 3 S 3.65
Te 0.1664 0.5000 0.6737 [2 per cell]  3 W 2.71
Te 0.1668 0.5000 0.7590 [2 per cell]  3 W 2.71
Mo 0.1667 0.5000 0.2804 [2 per cell]  6 Se 2.55
Mo 0.3332 0.0000 0.0985 [2 per cell]  6 Se 2.54-2.57
W 0.1666 0.5000 0.8967 [2 per cell]  6 S 2.45-2.46
W 0.3332 0.0000 0.7164 [2 per cell]  6 Te 2.71
Se 0.1664 0.5000 0.0605 [2 per cell]  3 Mo 2.57
Se 0.1668 0.5000 0.1356 [2 per cell]  3 Mo 2.54
Se 0.3331 0.0000 0.2431 [2 per cell]  3 Mo 2.55
Se 0.3335 0.0000 0.3177 [2 per cell]  3 Mo 2.55
S 0.3333 0.0000 0.8627 [2 per cell]  3 W 2.45-2.46
S 0.3337 0.0000 0.9308 [2 per cell]  3 W 2.46

Properties
Total energy   -6.425 eV per atom
Energy of formation   -521 meV per atom
Calculated volume   33.26 A^3/atom

***

Record 4
MgSi2: relaxed, PBE.

Unit cell a=3.3380 b=6.7484 c=9.1862 alpha=89.96 beta=89.34 gamma=89.40
With the nearest neighbours (Å) after each atom.
Space group P-1 (No. 2)
Symmetry-distinct sites (fractional):
Mg 0.2499 0.1249 0.2498 [2 per cell]  10 Si 2.75-3.02
Mg 0.2502 0.6252 0.2498 [2 per cell]  10 Si 2.76-3.03
Si 0.2480 0.1237 0.5498 [2 per cell]  4 Si 2.52-2.56, 1 Mg 2.76
Si 0.2490 0.6254 0.5508 [2 per cell]  4 Si 2.54-2.57, 1 Mg 2.76
Si 0.2512 0.1241 0.9503 [2 per cell]  4 Si 2.52-2.56, 1 Mg 2.75
Si 0.2513 0.6257 0.9492 [2 per cell]  4 Si 2.53-2.57, 1 Mg 2.76

Properties
Total energy   -3.952 eV per atom
Energy of formation   246 meV per atom
Calculated volume   17.24 A^3/atom

***

Record 5
Na18Nb8Zn4Si15S3O72: relaxed, PBE.

Unit cell a=9.0842 b=9.0884 c=22.4863 alpha=89.90 beta=89.95 gamma=60.04
With the nearest neighbours (Å) after each atom.
Space group P1 (No. 1)
Symmetry-distinct sites (fractional):
Na 0.0000 0.0000 0.0000 [1 per cell]  5 O 2.37-2.65
Na 0.0014 0.6021 0.5030 [1 per cell]  5 O 2.37-2.62
Na 0.0149 0.6647 0.8372 [1 per cell]  5 O 2.36-2.57
Na 0.0342 0.2904 0.0837 [1 per cell]  3 O 2.36-2.44
Na 0.0463 0.2812 0.5853 [1 per cell]  5 O 2.37-2.65
Na 0.0632 0.9410 0.6776 [1 per cell]  6 O 2.48-2.72
Na 0.3548 0.9978 0.4997 [1 per cell]  4 O 2.33-2.54
Na 0.3565 0.2475 0.0037 [1 per cell]  4 O 2.36-2.54
Na 0.3573 0.9350 0.1785 [1 per cell]  5 O 2.48-2.75
Na 0.3590 0.6150 0.2588 [1 per cell]  6 O 2.50-2.73
Na 0.3700 0.6171 0.7572 [1 per cell]  6 O 2.50-2.65
Na 0.6826 0.2621 0.8364 [1 per cell]  4 O 2.35-2.47
Na 0.6928 0.9501 0.4119 [1 per cell]  2 O 2.25-2.47
Na 0.6956 0.5983 0.6781 [1 per cell]  5 O 2.47-2.71
Na 0.6982 0.3065 0.1788 [1 per cell]  6 O 2.46-2.73
Na 0.7024 0.9382 0.9145 [1 per cell]  3 O 2.34-2.54
Na 0.7499 0.2472 0.5029 [1 per cell]  4 O 2.38-2.56
Na 0.7548 0.5988 0.0005 [1 per cell]  5 O 2.38-2.64
Nb 0.0294 0.2757 0.7363 [1 per cell]  5 O 1.94-2.06
Nb 0.0467 0.2718 0.2362 [1 per cell]  5 O 1.91-2.12
Nb 0.3640 0.6155 0.1116 [1 per cell]  6 O 1.92-2.03
Nb 0.3680 0.6245 0.4034 [1 per cell]  4 O 1.92-2.00
Nb 0.3711 0.6098 0.6110 [1 per cell]  6 O 1.92-2.05
Nb 0.3725 0.6262 0.9038 [1 per cell]  5 O 1.89-2.01
Nb 0.6995 0.9480 0.5717 [1 per cell]  6 O 1.94-2.08
Nb 0.7063 0.9444 0.0721 [1 per cell]  6 O 1.95-2.08
Zn 0.0224 0.2836 0.9431 [1 per cell]  3 O 1.96-2.14
Zn 0.0482 0.2716 0.4438 [1 per cell]  6 O 1.95-2.17
Zn 0.6872 0.9481 0.2707 [1 per cell]  4 O 1.96-2.06
Zn 0.7097 0.9355 0.7715 [1 per cell]  5 O 1.98-2.21
Si 0.0347 0.9880 0.8448 [1 per cell]  4 O 1.60-1.70
Si 0.0759 0.9054 0.5082 [1 per cell]  4 O 1.60-1.67
Si 0.0779 0.6155 0.0057 [1 per cell]  4 O 1.60-1.66
Si 0.3382 0.9888 0.3451 [1 per cell]  4 O 1.59-1.72
Si 0.3712 0.9099 0.0094 [1 per cell]  4 O 1.60-1.69
Si 0.3724 0.3236 0.5052 [1 per cell]  4 O 1.60-1.66
Si 0.4120 0.9500 0.6762 [1 per cell]  4 O 1.58-1.69
Si 0.4152 0.2390 0.1758 [1 per cell]  4 O 1.57-1.68
Si 0.6570 0.3229 0.0077 [1 per cell]  4 O 1.60-1.67
Si 0.6627 0.6144 0.5072 [1 per cell]  4 O 1.60-1.67
Si 0.6956 0.2379 0.6780 [1 per cell]  4 O 1.58-1.70
Si 0.7055 0.6543 0.1761 [1 per cell]  4 O 1.58-1.69
Si 0.7438 0.5779 0.8440 [1 per cell]  4 O 1.60-1.72
Si 0.9905 0.9410 0.1793 [1 per cell]  4 O 1.57-1.71
Si 0.9978 0.6524 0.6763 [1 per cell]  4 O 1.59-1.69
S 0.0384 0.5697 0.3429 [1 per cell]  4 O 1.46-1.52
S 0.3245 0.2821 0.8426 [1 per cell]  4 O 1.46-1.53
S 0.7435 0.2836 0.3428 [1 per cell]  4 O 1.46-1.53
O 0.0076 0.4669 0.6810 [1 per cell]  1 Si 1.65
O 0.0086 0.1192 0.1838 [1 per cell]  1 Si 1.71
O 0.0144 0.0956 0.9034 [1 per cell]  1 Si 1.60
O 0.0209 0.4936 0.3983 [1 per cell]  1 S 1.47
O 0.0516 0.0925 0.5063 [1 per cell]  1 Si 1.60
O 0.0566 0.4571 0.2901 [1 per cell]  1 S 1.52
O 0.0614 0.0842 0.7839 [1 per cell]  1 Si 1.70
O 0.0626 0.4477 0.0054 [1 per cell]  1 Si 1.60
O 0.1714 0.6466 0.9474 [1 per cell]  1 Si 1.66
O 0.1738 0.7750 0.4510 [1 per cell]  1 Si 1.67
O 0.1865 0.6302 0.6636 [1 per cell]  1 Si 1.65
O 0.1886 0.7907 0.1678 [1 per cell]  1 Si 1.65
O 0.1988 0.6000 0.0625 [1 per cell]  1 Si 1.64
O 0.1986 0.8075 0.5654 [1 per cell]  1 Si 1.64
O 0.2033 0.5749 0.3434 [1 per cell]  1 S 1.52
O 0.2039 0.3086 0.5060 [1 per cell]  1 Si 1.60
O 0.2066 0.0912 0.2856 [1 per cell]  1 Si 1.72, 1 Nb 1.91
O 0.2072 0.0946 0.0055 [1 per cell]  1 Si 1.60
O 0.2104 0.7933 0.8452 [1 per cell]  1 Si 1.69
O 0.2133 0.3047 0.7897 [1 per cell]  1 S 1.51
O 0.2192 0.1171 0.6809 [1 per cell]  1 Si 1.65
O 0.2252 0.2525 0.1821 [1 per cell]  1 Si 1.67
O 0.2464 0.0891 0.4046 [1 per cell]  1 Si 1.60
O 0.2492 0.2664 0.8981 [1 per cell]  1 S 1.46
O 0.3320 0.4468 0.8424 [1 per cell]  1 S 1.53
O 0.3415 0.7977 0.3463 [1 per cell]  1 Si 1.72
O 0.3496 0.8105 0.0664 [1 per cell]  1 Si 1.63
O 0.3548 0.4451 0.5626 [1 per cell]  1 Si 1.65
O 0.3808 0.7863 0.6652 [1 per cell]  1 Si 1.67
O 0.3832 0.4312 0.1643 [1 per cell]  1 Si 1.64
O 0.4033 0.7795 0.9514 [1 per cell]  1 Si 1.69, 1 Nb 1.89
O 0.4054 0.4186 0.4486 [1 per cell]  1 Si 1.65
O 0.4978 0.1387 0.8364 [1 per cell]  1 S 1.47
O 0.4988 0.1145 0.1157 [1 per cell]  1 Si 1.68
O 0.5016 0.9761 0.6144 [1 per cell]  1 Si 1.69
O 0.5244 0.9618 0.3368 [1 per cell]  1 Si 1.59
O 0.5301 0.6491 0.4506 [1 per cell]  1 Si 1.67
O 0.5331 0.4151 0.9489 [1 per cell]  1 Si 1.67
O 0.5390 0.1694 0.2307 [1 per cell]  1 Si 1.57
O 0.5419 0.8948 0.7296 [1 per cell]  1 Si 1.58
O 0.5427 0.6223 0.1639 [1 per cell]  1 Si 1.67
O 0.5438 0.4354 0.6674 [1 per cell]  1 Si 1.65
O 0.5481 0.1378 0.5132 [1 per cell]  1 Si 1.66
O 0.5506 0.9125 0.0120 [1 per cell]  1 Si 1.64
O 0.5553 0.4435 0.0648 [1 per cell]  1 Si 1.64
O 0.5603 0.5719 0.8455 [1 per cell]  1 Si 1.70
O 0.5681 0.5919 0.5658 [1 per cell]  1 Si 1.64
O 0.5699 0.4450 0.3436 [1 per cell]  1 S 1.53
O 0.6427 0.7844 0.2294 [1 per cell]  1 Si 1.58
O 0.6674 0.1365 0.0135 [1 per cell]  1 Si 1.65
O 0.6694 0.1629 0.7380 [1 per cell]  1 Si 1.58
O 0.6704 0.7914 0.5123 [1 per cell]  1 Si 1.65
O 0.7209 0.7627 0.8355 [1 per cell]  1 Si 1.60
O 0.7248 0.1335 0.3377 [1 per cell]  1 S 1.46
O 0.7322 0.1146 0.6182 [1 per cell]  1 Si 1.68
O 0.7353 0.7444 0.1150 [1 per cell]  1 Si 1.69
O 0.8291 0.3062 0.2879 [1 per cell]  1 S 1.53
O 0.8374 0.2743 0.3971 [1 per cell]  1 S 1.47
O 0.8421 0.3043 0.0086 [1 per cell]  1 Si 1.60
O 0.8443 0.4459 0.7849 [1 per cell]  1 Si 1.72
O 0.8474 0.4492 0.5018 [1 per cell]  1 Si 1.60
O 0.8545 0.4949 0.9029 [1 per cell]  1 Si 1.61
O 0.8700 0.7476 0.6174 [1 per cell]  1 Si 1.69
O 0.8695 0.9668 0.8385 [1 per cell]  1 Si 1.61
O 0.8710 0.4609 0.1835 [1 per cell]  1 Si 1.65
O 0.8707 0.9807 0.1173 [1 per cell]  1 Si 1.69
O 0.8736 0.2542 0.6796 [1 per cell]  1 Si 1.70
O 0.8921 0.9113 0.5132 [1 per cell]  1 Si 1.65
O 0.8934 0.7408 0.3357 [1 per cell]  1 S 1.46
O 0.8932 0.7929 0.0126 [1 per cell]  1 Si 1.65
O 0.9056 0.9135 0.2357 [1 per cell]  1 Si 1.57
O 0.9348 0.7693 0.7340 [1 per cell]  1 Si 1.59

Properties
Total energy   -6.945 eV per atom
Energy of formation   -2693 meV per atom
Calculated volume   13.40 A^3/atom

***

Record 6
Ti2CuTc: relaxed, PBE.

Unit cell a=6.1788 b=6.1788 c=6.1788 alpha=90.00 beta=90.00 gamma=90.00
With the nearest neighbours (Å) after each atom.
Space group Fm-3m (No. 225)
Symmetry-distinct sites (fractional):
Ti 0.2500 0.2500 0.2500 [8 per cell]  4 Tc 2.68, 4 Cu 2.68
Cu 0.0000 0.0000 0.0000 [4 per cell]  8 Ti 2.68
Tc 0.0000 0.0000 0.5000 [4 per cell]  8 Ti 2.68

Properties
Total energy   -7.872 eV per atom
Energy of formation   -309 meV per atom
Calculated volume   14.74 A^3/atom

***

Record 7
Pr4ZrCo25: relaxed, PBE.

Unit cell a=4.9801 b=43.2044 c=3.9692 alpha=90.00 beta=90.00 gamma=90.00
With the nearest neighbours (Å) after each atom.
Space group Cmmm (No. 65)
Symmetry-distinct sites (fractional):
Pr 0.0000 0.0984 0.0000 [4 per cell]  18 Co 2.91-3.26
Pr 0.0000 0.3003 0.0000 [4 per cell]  18 Co 2.87-3.20
Zr 0.0000 0.5000 0.0000 [2 per cell]  14 Co 2.74-3.07
Co 0.0000 0.0000 0.5000 [2 per cell]  8 Co 2.38-2.40
Co 0.0000 0.0303 0.0000 [4 per cell]  7 Co 2.38-2.62
Co 0.0000 0.1663 0.0000 [4 per cell]  6 Co 2.45-2.46
Co 0.0000 0.1997 0.5000 [4 per cell]  8 Co 2.46-2.51
Co 0.0000 0.2332 0.0000 [4 per cell]  6 Co 2.45-2.46
Co 0.0000 0.3668 0.0000 [4 per cell]  6 Co 2.44-2.48
Co 0.0000 0.4013 0.5000 [4 per cell]  8 Co 2.48-2.54
Co 0.0000 0.4365 0.0000 [4 per cell]  6 Co 2.43-2.50
Co 0.2395 0.4533 0.5000 [8 per cell]  8 Co 2.39-2.60
Co 0.2497 0.1493 0.5000 [8 per cell]  8 Co 2.44-2.52
Co 0.2500 0.2500 0.5000 [4 per cell]  8 Co 2.45-2.50

Properties
Total energy   -6.878 eV per atom
Energy of formation   -32 meV per atom
Calculated volume   14.23 A^3/atom

***

Record 8
RbSb4S7O: relaxed, PBE.

Unit cell a=7.5205 b=26.8238 c=9.9949 alpha=90.00 beta=129.08 gamma=90.00
With the nearest neighbours (Å) after each atom.
Space group P2_1/c (No. 14)
Symmetry-distinct sites (fractional):
Rb 0.1892 0.0670 0.1510 [4 per cell]  1 O 3.31, 5 S 3.51-3.63
Sb 0.0340 0.6161 0.9678 [4 per cell]  2 S 2.44
Sb 0.1611 0.2433 0.1171 [4 per cell]  3 S 2.43-2.52
Sb 0.3030 0.6788 0.4027 [4 per cell]  3 S 2.51-2.52
Sb 0.3081 0.6771 0.7965 [4 per cell]  3 S 2.49-2.52
S 0.1226 0.1784 0.9181 [4 per cell]  2 Sb 2.52
S 0.1274 0.0202 0.6352 [4 per cell]  1 O 1.52
S 0.1271 0.1813 0.2892 [4 per cell]  2 Sb 2.51-2.52
S 0.2383 0.7313 0.0706 [4 per cell]  1 Sb 2.43
S 0.2871 0.5964 0.2748 [4 per cell]  2 Sb 2.44-2.52
S 0.3064 0.5952 0.9205 [4 per cell]  2 Sb 2.44-2.52
S 0.3770 0.6222 0.6326 [4 per cell]  2 Sb 2.49-2.51
O 0.0614 0.0070 0.7465 [4 per cell]  1 S 1.52

Properties
Total energy   -4.389 eV per atom
Energy of formation   -488 meV per atom
Calculated volume   30.10 A^3/atom

***

Q: What is the formula in the fourth record?
A: MgSi2

***

Q: Which of these has the highest calculated volume?
A: MgTe2Mo2W2Se4S2